w.
DFT (PBE-GGA) results for a relaxed structure of TmCO4.

Cell and atoms, written as CIF:
```
data_TmCO4
_cell_length_a 9.464
_cell_length_b 9.464
_cell_length_c 7.833
_cell_angle_alpha 90.00
_cell_angle_beta 90.00
_cell_angle_gamma 90.00
_symmetry_space_group_name_H-M 'P 42/n m c'
_symmetry_Int_Tables_number 137
loop_
_symmetry_equiv_pos_as_xyz
'x,y,z'
'-x,-y,-z'
'-y+1/2,x,z+1/2'
'y+1/2,-x,-z+1/2'
'-x+1/2,-y+1/2,z'
'x+1/2,y+1/2,-z'
'y,-x+1/2,z+1/2'
'-y,x+1/2,-z+1/2'
'x+1/2,-y,-z'
'-x+1/2,y,z'
'-y,-x,-z+1/2'
'y,x,z+1/2'
'-x,y+1/2,-z'
'x,-y+1/2,z'
'y+1/2,x+1/2,-z+1/2'
'-y+1/2,-x+1/2,z+1/2'
loop_
_atom_site_label
_atom_site_fract_x
_atom_site_fract_y
_atom_site_fract_z
Tm1 0.020 0.520 0.250
C1 0.001 0.250 0.092
O1 0.005 0.630 0.987
O2 0.008 0.750 0.292
O3 0.012 0.250 0.256
```



x.
DFT (PBE-GGA) results for a relaxed structure of TmCO4.

Cell and atoms, written as CIF:
```
data_TmCO4
_cell_length_a 4.808
_cell_length_b 7.006
_cell_length_c 8.745
_cell_angle_alpha 90.00
_cell_angle_beta 90.00
_cell_angle_gamma 90.00
_symmetry_space_group_name_H-M 'P 21 21 21'
_symmetry_Int_Tables_number 19
_symmetry_space_group_name_Hall 'P 2ac 2ab'
loop_
_atom_site_label
_atom_site_fract_x
_atom_site_fract_y
_atom_site_fract_z
Tm1 0.026 0.127 0.161
C1 0.008 0.045 0.830
O1 0.030 0.814 0.143
O2 0.046 0.445 0.788
O3 0.180 0.618 0.581
O4 0.231 0.929 0.368
```



Relative calculated energies, zero for the most stable structure, unit kJ/mol of atoms: w 0.0; x 4.7.